Entry one
# NaAs

A geometry-optimized NaAs structure (PBE, Materials Project).

Unit cell a=5.9604 b=6.3027 c=11.6703 alpha=63.18 beta=90.00 gamma=90.00
With the nearest neighbours (Å) after each atom.
Element x y z (fractional)
1 Na 0.3366 0.2348 0.9676  6 As 3.08-3.26, 2 Na 3.33-3.36
2 As 0.3940 0.3204 0.2107  2 As 2.49-2.53
3 As 0.3391 0.6870 0.6193  2 As 2.49-2.53
4 As 0.8391 0.3130 0.8807  2 As 2.49-2.53
5 Na 0.8904 0.2189 0.1700  6 As 3.04-3.17, 1 Na 3.36
6 As 0.6609 0.3130 0.3807  2 As 2.49-2.53
7 As 0.1060 0.3204 0.7107  2 As 2.49-2.53
8 Na 0.8366 0.7652 0.5324  6 As 3.08-3.26, 2 Na 3.33-3.36
9 Na 0.1634 0.2348 0.4676  6 As 3.08-3.26, 2 Na 3.33-3.36
10 Na 0.3904 0.7811 0.3300  6 As 3.04-3.17, 1 Na 3.36
11 As 0.8940 0.6796 0.2893  2 As 2.49-2.53
12 As 0.1609 0.6870 0.1193  2 As 2.49-2.53
13 Na 0.1096 0.7811 0.8300  6 As 3.04-3.17, 1 Na 3.36
14 Na 0.6096 0.2189 0.6700  6 As 3.04-3.17, 1 Na 3.36
15 Na 0.6634 0.7652 0.0324  6 As 3.08-3.26, 2 Na 3.33-3.36
16 As 0.6060 0.6796 0.7893  2 As 2.49-2.53

---

Entry two
# NaAs

A geometry-optimized NaAs structure (PBE, Materials Project).

Summary:
Spin magnetization, μB/cell: 0.00

Unit cell a=3.0279 b=3.0279 c=4.4984 alpha=90.00 beta=90.00 gamma=90.00
With the nearest neighbours (Å) after each atom.
Element x y z (fractional)
1 As 0.5000 0.5000 0.5000  4 As 3.03, 8 Na 3.11
2 Na 0.0000 0.0000 0.0000  4 Na 3.03, 8 As 3.11

---

entry one wins, 152 meV/atom ahead of the next structure.

---

Entry one
# Na3NbAs2O9

A geometry-optimized Na3NbAs2O9 structure (PBE, Materials Project).

Unit cell a=8.6837 b=9.8285 c=10.8261 alpha=70.90 beta=90.00 gamma=90.00
With the nearest neighbours (Å) after each atom.
Element x y z (fractional)
1 As 0.6761 0.0684 0.8606  4 O 1.69-1.75
2 O 0.7831 0.1175 0.1932  1 As 1.75
3 O 0.3150 0.0371 0.5472  1 As 1.69
4 O 0.2158 0.4134 0.1842  1 As 1.69
5 Na 0.7365 0.7996 0.1462  3 O 2.29-2.45
6 O 0.1850 0.0371 0.0472  1 As 1.69
7 As 0.7611 0.5735 0.9741  4 O 1.68-1.78
8 O 0.0008 0.9819 0.3708  1 As 1.74
9 As 0.3239 0.9316 0.1394  4 O 1.69-1.75
10 Nb 0.4229 0.7799 0.8854  1 O 1.78
11 O 0.2055 0.6007 0.4342  1 As 1.74
12 O 0.1479 0.7811 0.5951  1 As 1.72
13 O 0.2945 0.6007 0.9342  1 As 1.74
14 Na 0.7635 0.7996 0.6462  3 O 2.29-2.45
15 Na 0.9522 0.1657 0.0073  5 O 2.30-2.55
16 Na 0.9542 0.4669 0.2582  3 O 2.31-2.56
17 O 0.4079 0.3762 0.4492  1 As 1.68
18 O 0.7842 0.5866 0.8158  1 As 1.69
19 Na 0.0478 0.8343 0.9927  5 O 2.30-2.55
20 As 0.2611 0.4265 0.5259  4 O 1.68-1.78
21 Na 0.2635 0.2004 0.8538  3 O 2.29-2.45
22 O 0.4992 0.9819 0.8708  1 As 1.74
23 O 0.7945 0.3993 0.5658  1 As 1.74
24 As 0.7389 0.5735 0.4741  4 O 1.68-1.78
25 O 0.5024 0.7751 0.7356  1 Nb 1.78
26 As 0.2389 0.4265 0.0259  4 O 1.68-1.78
27 Na 0.2365 0.2004 0.3538  3 O 2.29-2.45
28 O 0.7158 0.5866 0.3158  1 As 1.69
29 O 0.5008 0.0181 0.1292  1 As 1.74
30 Na 0.5458 0.4669 0.7582  3 O 2.31-2.56
31 O 0.0024 0.2249 0.7644  1 Nb 1.78
32 O 0.6479 0.2189 0.9049  1 As 1.72
33 Na 0.4542 0.5331 0.2418  3 O 2.31-2.56
34 O 0.6850 0.9629 0.4528  1 As 1.69
35 Na 0.5478 0.1657 0.5073  5 O 2.30-2.55
36 Nb 0.0771 0.7799 0.3854  1 O 1.78
37 As 0.8239 0.0684 0.3606  4 O 1.69-1.75
38 O 0.8150 0.9629 0.9528  1 As 1.69
39 O 0.9992 0.0181 0.6292  1 As 1.74
40 O 0.9079 0.6238 0.0508  1 As 1.68
41 O 0.7169 0.1175 0.6932  1 As 1.75
42 O 0.5921 0.6238 0.5508  1 As 1.68
43 O 0.2831 0.8825 0.3068  1 As 1.75
44 O 0.0993 0.3278 0.5002  1 As 1.78
45 O 0.0921 0.3762 0.9492  1 As 1.68
46 O 0.9976 0.7751 0.2356  1 Nb 1.78
47 As 0.1761 0.9316 0.6394  4 O 1.69-1.75
48 Nb 0.5771 0.2201 0.1146  1 O 1.78
49 O 0.2842 0.4134 0.6842  1 As 1.69
50 O 0.2169 0.8825 0.8068  1 As 1.75
51 O 0.7055 0.3993 0.0658  1 As 1.74
52 O 0.5993 0.6722 0.9998  1 As 1.78
53 O 0.4976 0.2249 0.2644  1 Nb 1.78
54 Na 0.0458 0.5331 0.7418  3 O 2.31-2.56
55 Na 0.4522 0.8343 0.4927  5 O 2.30-2.55
56 O 0.3521 0.7811 0.0951  1 As 1.72
57 Nb 0.9229 0.2201 0.6146  1 O 1.78
58 O 0.9007 0.6722 0.4998  1 As 1.78
59 O 0.8521 0.2189 0.4049  1 As 1.72
60 O 0.4007 0.3278 0.0002  1 As 1.78

---

Entry two
# Na3NbAs2O9

A geometry-optimized Na3NbAs2O9 structure (PBE, Materials Project).

Summary:
Spin magnetization, μB/cell: 4.00

Unit cell a=9.5327 b=10.4899 c=12.4464 alpha=58.94 beta=90.00 gamma=90.00
With the nearest neighbours (Å) after each atom.
Element x y z (fractional)
1 O 0.6441 0.0736 0.8558  2 As 1.85
2 Na 0.6332 0.8640 0.6522  4 O 2.35-2.45
3 As 0.2824 0.8280 0.6108  3 O 1.81-1.85
4 Na 0.3668 0.1360 0.3478  4 O 2.35-2.45
5 O 0.0749 0.3034 0.9144  1 O 1.38
6 O 0.4008 0.2308 0.9599  1 As 1.76
7 O 0.9978 0.8823 0.3128  1 As 1.87, 1 Nb 2.04
8 O 0.7296 0.3387 0.0989  1 Nb 1.82
9 As 0.7824 0.1720 0.8892  3 O 1.81-1.85
10 O 0.8559 0.0736 0.3558  2 As 1.85
11 Na 0.7218 0.5289 0.1450  5 O 2.34-2.50
12 As 0.6710 0.8820 0.8889  3 O 1.76-1.87
13 O 0.4802 0.4460 0.9835  1 O 1.44
14 As 0.8290 0.8820 0.3889  3 O 1.76-1.87
15 O 0.0198 0.4460 0.4835  1 O 1.44
16 O 0.5749 0.6966 0.5856  1 O 1.38
17 O 0.3198 0.6642 0.1481  1 As 1.81
18 Nb 0.1065 0.7325 0.4691  1 O 1.82
19 Na 0.8668 0.8640 0.1522  4 O 2.35-2.45
20 O 0.5848 0.8362 0.4800  1 O 1.38
21 As 0.1710 0.1180 0.6111  3 O 1.76-1.87
22 O 0.9152 0.8362 0.9800  1 O 1.38
23 O 0.4251 0.3034 0.4144  1 O 1.38
24 O 0.2477 0.9057 0.4446  1 As 1.82
25 Na 0.1332 0.1360 0.8478  4 O 2.35-2.45
26 O 0.7523 0.0943 0.5554  1 As 1.82
27 O 0.0848 0.1638 0.0200  1 O 1.38
28 O 0.0022 0.1177 0.6872  1 As 1.87, 1 Nb 2.04
29 Na 0.2218 0.4711 0.3550  5 O 2.34-2.50
30 Nb 0.3935 0.7325 0.9691  1 O 1.82
31 Na 0.7782 0.5289 0.6450  5 O 2.34-2.50
32 O 0.4152 0.1638 0.5200  1 O 1.38
33 Nb 0.6065 0.2675 0.0309  1 O 1.82
34 Na 0.2782 0.4711 0.8550  5 O 2.34-2.50
35 Na 0.0636 0.7997 0.8519  3 O 2.31-2.34
36 As 0.2176 0.8280 0.1108  3 O 1.81-1.85
37 Na 0.9364 0.2003 0.1481  3 O 2.31-2.34
38 O 0.2704 0.6613 0.9011  1 Nb 1.82
39 As 0.7176 0.1720 0.3892  3 O 1.81-1.85
40 O 0.4978 0.1177 0.1872  1 As 1.87, 1 Nb 2.04
41 O 0.7704 0.3387 0.5989  1 Nb 1.82
42 O 0.2523 0.9057 0.9446  1 As 1.82
43 O 0.7477 0.0943 0.0554  1 As 1.82
44 O 0.1802 0.6642 0.6481  1 As 1.81
45 Na 0.4364 0.7997 0.3519  3 O 2.31-2.34
46 Nb 0.8935 0.2675 0.5309  1 O 1.82
47 O 0.0992 0.2308 0.4599  1 As 1.76
48 O 0.9008 0.7692 0.5401  1 As 1.76
49 Na 0.5636 0.2003 0.6481  3 O 2.31-2.34
50 O 0.2296 0.6613 0.4011  1 Nb 1.82
51 As 0.3290 0.1180 0.1111  3 O 1.76-1.87
52 O 0.5022 0.8823 0.8128  1 As 1.87, 1 Nb 2.04
53 O 0.3559 0.9264 0.1442  2 As 1.85
54 O 0.1441 0.9264 0.6442  2 As 1.85
55 O 0.9251 0.6966 0.0856  1 O 1.38
56 O 0.8198 0.3358 0.3519  1 As 1.81
57 O 0.5992 0.7692 0.0401  1 As 1.76
58 O 0.5198 0.5540 0.0165  1 O 1.44
59 O 0.6802 0.3358 0.8519  1 As 1.81
60 O 0.9802 0.5540 0.5165  1 O 1.44

---

entry one wins, 665 meV/atom ahead of the next structure.